# La3AlC

A geometry-optimized La3AlC structure (PBE, the Materials Project database).

Geometry as CIF:
```
data_La3AlC
_chemical_formula_sum 'La3 Al1 C1'
_cell_length_a 5.205
_cell_length_b 5.205
_cell_length_c 5.205
_cell_angle_alpha 90.00
_cell_angle_beta 90.00
_cell_angle_gamma 90.00
_symmetry_space_group_name_H-M 'P m -3 m'
_symmetry_Int_Tables_number 221
_symmetry_space_group_name_Hall '-P 4 2 3'
loop_
_atom_site_label
_atom_site_fract_x
_atom_site_fract_y
_atom_site_fract_z
La1 0.000 0.000 0.500
Al1 0.500 0.500 0.500
C1 0.000 0.000 0.000
```

Results
- Energy of formation from the pure elements: -0.185 eV per atom
- Crystal system: cubic
- ρ: 5.37 g cm⁻³
- DFT total energy: -5.74 eV per atom

=====

# IrSe

A geometry-optimized IrSe structure (PBE, the Materials Project database).

Geometry as CIF:
```
data_IrSe
_chemical_formula_sum 'Ir2 Se2'
_cell_length_a 3.8039
_cell_length_b 3.8039
_cell_length_c 6.8568
_cell_angle_alpha 90.00
_cell_angle_beta 90.00
_cell_angle_gamma 120.00
_symmetry_space_group_name_H-M 'P 63 m c'
_symmetry_Int_Tables_number 186
_symmetry_space_group_name_Hall 'P 6c -2c'
loop_
_atom_site_label
_atom_site_fract_x
_atom_site_fract_y
_atom_site_fract_z
Ir1 0.3333 0.6667 0.0000
Se1 0.3333 0.6667 0.3580
```

Results
- Energy of formation from the pure elements: 0.034 eV per atom
- Crystal system: hexagonal
- ρ: 10.48 g cm⁻³
- Corrected total energy (MP2020 scheme): -6.133 eV/atom
- DFT total energy: -5.90 eV per atom

=====

# K3UF7

A geometry-optimized K3UF7 structure (PBE, the Materials Project database).

Geometry as CIF:
```
data_K3UF7
_chemical_formula_sum 'K24 U8 F56'
_cell_length_a 9.385
_cell_length_b 9.385
_cell_length_c 18.464
_cell_angle_alpha 90.00
_cell_angle_beta 90.00
_cell_angle_gamma 90.00
_symmetry_space_group_name_H-M 'I 41/a'
_symmetry_Int_Tables_number 88
loop_
_symmetry_equiv_pos_as_xyz
'x,y,z'
'-x,-y,-z'
'-y+3/4,x+1/4,z+1/4'
'y+3/4,-x+1/4,-z+1/4'
'-x+1/2,-y,z+1/2'
'x+1/2,y,-z+1/2'
'y+3/4,-x+3/4,z+3/4'
'-y+3/4,x+3/4,-z+3/4'
'x+1/2,y+1/2,z+1/2'
'-x+1/2,-y+1/2,-z+1/2'
'-y+1/4,x+3/4,z+3/4'
'y+1/4,-x+3/4,-z+3/4'
'-x,-y+1/2,z'
'x,y+1/2,-z'
'y+1/4,-x+1/4,z+1/4'
'-y+1/4,x+1/4,-z+1/4'
loop_
_atom_site_label
_atom_site_fract_x
_atom_site_fract_y
_atom_site_fract_z
K1 0.000 0.250 0.125
K2 0.000 0.250 0.625
K3 0.219 0.012 0.489
U1 0.000 0.250 0.357
F1 0.000 0.250 0.480
F2 0.016 0.391 0.258
F3 0.062 0.475 0.394
F4 0.068 0.472 0.895
```

Results
- Energy of formation from the pure elements: -3.508 eV per atom
- Crystal system: tetragonal
- ρ: 3.99 g cm⁻³
- Corrected total energy (MP2020 scheme): -6.055 eV/atom
- DFT total energy: -5.76 eV per atom

=====

# LiMgSO4F

A geometry-optimized LiMgSO4F structure (PBE, the Materials Project database).

Geometry as CIF:
```
data_LiMgSO4F
_chemical_formula_sum 'Li2 Mg2 S2 O8 F2'
_cell_length_a 5.221
_cell_length_b 5.470
_cell_length_c 7.208
_cell_angle_alpha 106.76
_cell_angle_beta 107.48
_cell_angle_gamma 97.29
_symmetry_space_group_name_H-M 'P 1'
_symmetry_Int_Tables_number 1
loop_
_symmetry_equiv_pos_as_xyz
'x,y,z'
loop_
_atom_site_label
_atom_site_fract_x
_atom_site_fract_y
_atom_site_fract_z
Li1 0.000 0.000 0.000
Li2 0.472 0.739 0.497
Mg1 0.743 0.380 0.784
Mg2 0.749 0.377 0.285
S1 0.078 0.016 0.537
S2 0.416 0.746 0.034
O1 0.016 0.152 0.384
O2 0.062 0.734 0.430
O3 0.130 0.635 0.883
O4 0.363 0.127 0.688
O5 0.429 0.027 0.139
O6 0.476 0.610 0.189
O7 0.619 0.721 0.926
O8 0.875 0.037 0.647
F1 0.638 0.463 0.529
F2 0.854 0.298 0.040
```

Results
- ΔE to the lowest computed polymorph: 0.000 eV per atom
- Energy of formation from the pure elements: -2.627 eV per atom
- Crystal system: triclinic
- ρ: 2.66 g cm⁻³
- Corrected total energy (MP2020 scheme): -6.296 eV/atom
- DFT total energy: -5.89 eV per atom

=====

# NaFeBr4

A geometry-optimized NaFeBr4 structure (PBE, the Materials Project database).

Geometry as CIF:
```
data_NaFeBr4
_chemical_formula_sum 'Na4 Fe4 Br16'
_cell_length_a 14.287
_cell_length_b 7.760
_cell_length_c 7.682
_cell_angle_alpha 90.00
_cell_angle_beta 90.00
_cell_angle_gamma 90.00
_symmetry_space_group_name_H-M 'P n m a'
_symmetry_Int_Tables_number 62
loop_
_symmetry_equiv_pos_as_xyz
'x,y,z'
'-x,-y,-z'
'-x+1/2,-y,z+1/2'
'x+1/2,y,-z+1/2'
'x+1/2,-y+1/2,-z+1/2'
'-x+1/2,y+1/2,z+1/2'
'-x,y+1/2,-z'
'x,-y+1/2,z'
loop_
_atom_site_label
_atom_site_fract_x
_atom_site_fract_y
_atom_site_fract_z
Na1 0.151 0.250 0.051
Fe1 0.102 0.750 0.797
Br1 0.033 0.250 0.375
Br2 0.056 0.750 0.091
Br3 0.196 0.505 0.736
```

Results
- Energy of formation from the pure elements: -1.228 eV per atom
- Crystal system: orthorhombic
- ρ: 3.11 g cm⁻³
- Corrected total energy (MP2020 scheme): -3.951 eV/atom
- DFT total energy: -3.60 eV per atom

=====

# K2Mn3S4

A geometry-optimized K2Mn3S4 structure (PBE, the Materials Project database).

Geometry as CIF:
```
data_K2Mn3S4
_chemical_formula_sum 'K4 Mn6 S8'
_cell_length_a 7.313
_cell_length_b 6.027
_cell_length_c 11.146
_cell_angle_alpha 90.00
_cell_angle_beta 112.33
_cell_angle_gamma 90.00
_symmetry_space_group_name_H-M 'P 1 2/c 1'
_symmetry_Int_Tables_number 13
loop_
_symmetry_equiv_pos_as_xyz
'x,y,z'
'-x,-y,-z'
'-x,y,-z+1/2'
'x,-y,z+1/2'
loop_
_atom_site_label
_atom_site_fract_x
_atom_site_fract_y
_atom_site_fract_z
K1 0.000 0.000 0.000
K2 0.000 0.494 0.250
Mn1 0.499 0.250 0.029
Mn2 0.500 0.249 0.750
S1 0.292 0.033 0.833
S2 0.292 0.465 0.563
```

Results
- Energy of formation from the pure elements: -0.999 eV per atom
- Crystal system: monoclinic
- ρ: 2.71 g cm⁻³
- Corrected total energy (MP2020 scheme): -6.139 eV/atom
- DFT total energy: -5.92 eV per atom

=====

# VPb2N3

A geometry-optimized VPb2N3 structure (PBE, the Materials Project database).

Geometry as CIF:
```
data_VPb2N3
_chemical_formula_sum 'V8 Pb16 N24'
_cell_length_a 5.757
_cell_length_b 11.145
_cell_length_c 12.735
_cell_angle_alpha 90.00
_cell_angle_beta 90.00
_cell_angle_gamma 90.00
_symmetry_space_group_name_H-M 'C m c e'
_symmetry_Int_Tables_number 64
_symmetry_space_group_name_Hall '-C 2ac 2'
loop_
_atom_site_label
_atom_site_fract_x
_atom_site_fract_y
_atom_site_fract_z
V1 0.000 0.244 0.163
Pb1 0.000 0.066 0.374
Pb2 0.000 0.133 0.924
N1 0.000 0.093 0.111
N2 0.000 0.148 0.554
N3 0.250 0.235 0.750
```

Results
- ΔE to the lowest computed polymorph: 0.076 eV per atom
- Energy of formation from the pure elements: -0.199 eV per atom
- Crystal system: orthorhombic
- ρ: 8.25 g cm⁻³
- Corrected total energy (MP2020 scheme): -7.119 eV/atom
- DFT total energy: -6.94 eV per atom

=====

# NaAu3

A geometry-optimized NaAu3 structure (PBE, the Materials Project database).

Geometry as CIF:
```
data_NaAu3
_chemical_formula_sum 'Na2 Au6'
_cell_length_a 5.8043
_cell_length_b 5.8043
_cell_length_c 5.1190
_cell_angle_alpha 90.00
_cell_angle_beta 90.00
_cell_angle_gamma 120.00
_symmetry_space_group_name_H-M 'P 63/m m c'
_symmetry_Int_Tables_number 194
_symmetry_space_group_name_Hall '-P 6c 2c'
loop_
_atom_site_label
_atom_site_fract_x
_atom_site_fract_y
_atom_site_fract_z
Na1 0.3333 0.6667 0.2500
Au1 0.1663 0.3325 0.7500
```

Results
- Energy of formation from the pure elements: -0.194 eV per atom
- Crystal system: hexagonal
- ρ: 13.65 g cm⁻³
- DFT total energy: -2.98 eV per atom